Record 1
The following is a PBE calculation of an optimized crystal structure of Nd14Cl33, from the Materials Project.

```
data_Nd14Cl33
_cell_length_a 11.154
_cell_length_b 11.165
_cell_length_c 21.158
_cell_angle_alpha 98.27
_cell_angle_beta 101.51
_cell_angle_gamma 110.33
_symmetry_space_group_name_H-M 'P 1'
_symmetry_Int_Tables_number 1
loop_
_symmetry_equiv_pos_as_xyz
'x,y,z'
loop_
_atom_site_label
_atom_site_fract_x
_atom_site_fract_y
_atom_site_fract_z
Nd1 0.006 0.479 0.303
Nd2 0.028 0.949 0.815
Nd3 0.129 0.453 0.923
Nd4 0.130 0.958 0.429
Nd5 0.192 0.407 0.533
Nd6 0.194 0.898 0.045
Nd7 0.251 0.364 0.122
Nd8 0.264 0.857 0.618
Nd9 0.321 0.365 0.740
Nd10 0.358 0.861 0.236
Nd11 0.361 0.269 0.344
Nd12 0.362 0.772 0.846
Nd13 0.410 0.240 0.930
Nd14 0.425 0.738 0.427
Nd15 0.575 0.262 0.573
Nd16 0.590 0.760 0.070
Nd17 0.638 0.228 0.154
Nd18 0.639 0.731 0.656
Nd19 0.642 0.139 0.764
Nd20 0.679 0.635 0.260
Nd21 0.736 0.143 0.382
Nd22 0.749 0.636 0.878
Nd23 0.806 0.102 0.955
Nd24 0.808 0.593 0.467
Nd25 0.870 0.042 0.571
Nd26 0.871 0.547 0.077
Nd27 0.972 0.051 0.185
Nd28 0.994 0.521 0.697
Cl1 0.019 0.371 0.029
Cl2 0.027 0.880 0.540
Cl3 0.049 0.607 0.568
Cl4 0.055 0.107 0.068
Cl5 0.056 0.324 0.754
Cl6 0.084 0.081 0.322
Cl7 0.086 0.619 0.838
Cl8 0.127 0.196 0.913
Cl9 0.142 0.704 0.415
Cl10 0.146 0.210 0.615
Cl11 0.153 0.687 0.123
Cl12 0.159 0.803 0.735
Cl13 0.162 0.314 0.241
Cl14 0.207 0.002 0.181
Cl15 0.235 0.531 0.670
Cl16 0.244 0.454 0.404
Cl17 0.256 0.132 0.790
Cl18 0.256 0.955 0.913
Cl19 0.263 0.640 0.290
Cl20 0.315 0.229 0.476
Cl21 0.321 0.727 0.983
Cl22 0.334 0.992 0.357
Cl23 0.347 0.520 0.865
Cl24 0.358 0.455 0.017
Cl25 0.365 0.967 0.518
Cl26 0.373 0.183 0.063
Cl27 0.381 0.685 0.558
Cl28 0.419 0.143 0.669
Cl29 0.442 0.645 0.171
Cl30 0.455 0.437 0.626
Cl31 0.460 0.941 0.126
Cl32 0.463 0.369 0.225
Cl33 0.469 0.862 0.725
Cl34 0.531 0.138 0.275
Cl35 0.537 0.631 0.775
Cl36 0.540 0.059 0.874
Cl37 0.545 0.563 0.374
Cl38 0.558 0.355 0.829
Cl39 0.581 0.857 0.331
Cl40 0.619 0.315 0.442
Cl41 0.627 0.817 0.937
Cl42 0.635 0.033 0.482
Cl43 0.642 0.545 0.983
Cl44 0.653 0.480 0.135
Cl45 0.666 0.008 0.643
Cl46 0.679 0.273 0.017
Cl47 0.685 0.771 0.524
Cl48 0.737 0.360 0.710
Cl49 0.744 0.045 0.087
Cl50 0.744 0.868 0.210
Cl51 0.756 0.546 0.596
Cl52 0.765 0.469 0.330
Cl53 0.793 0.998 0.819
Cl54 0.838 0.686 0.759
Cl55 0.841 0.197 0.265
Cl56 0.847 0.313 0.877
Cl57 0.854 0.790 0.385
Cl58 0.858 0.296 0.585
Cl59 0.873 0.804 0.087
Cl60 0.914 0.381 0.162
Cl61 0.916 0.919 0.678
Cl62 0.944 0.676 0.246
Cl63 0.945 0.893 0.932
Cl64 0.951 0.393 0.432
Cl65 0.973 0.120 0.460
Cl66 0.981 0.629 0.971
```

Computed properties:
**Mass density**: 4.50 Mg/m³
**E (MP2020)**: -5.12 eV per atom
**Crystal system**: triclinic
**Calculated volume**: 25.1 Å³ per atom

=====

Record 2
The following is a PBE calculation of an optimized crystal structure of NdCl3, from the Materials Project.

```
data_NdCl3
_cell_length_a 7.536
_cell_length_b 7.536
_cell_length_c 4.260
_cell_angle_alpha 90.00
_cell_angle_beta 90.00
_cell_angle_gamma 120.00
_symmetry_space_group_name_H-M 'P 1'
_symmetry_Int_Tables_number 1
loop_
_symmetry_equiv_pos_as_xyz
'x,y,z'
loop_
_atom_site_label
_atom_site_fract_x
_atom_site_fract_y
_atom_site_fract_z
Nd1 0.333 0.667 0.250
Nd2 0.667 0.333 0.750
Cl1 0.087 0.392 0.750
Cl2 0.305 0.913 0.750
Cl3 0.392 0.305 0.250
Cl4 0.608 0.695 0.750
Cl5 0.695 0.087 0.250
Cl6 0.913 0.608 0.250
```

Computed properties:
**Mass density**: 3.97 Mg/m³
**E (MP2020)**: -5.33 eV per atom
**Crystal system**: hexagonal
**Calculated volume**: 26.2 Å³ per atom

=====

Record 3
The following is a PBE calculation of an optimized crystal structure of NdClO2, from the Materials Project.

```
data_NdClO2
_cell_length_a 5.103
_cell_length_b 4.341
_cell_length_c 6.598
_cell_angle_alpha 90.00
_cell_angle_beta 108.35
_cell_angle_gamma 90.00
_symmetry_space_group_name_H-M 'P 1'
_symmetry_Int_Tables_number 1
loop_
_symmetry_equiv_pos_as_xyz
'x,y,z'
loop_
_atom_site_label
_atom_site_fract_x
_atom_site_fract_y
_atom_site_fract_z
Nd1 0.178 0.250 0.333
Nd2 0.822 0.750 0.667
Cl1 0.214 0.250 0.913
Cl2 0.786 0.750 0.087
O1 0.246 0.750 0.547
O2 0.383 0.750 0.377
O3 0.617 0.250 0.623
O4 0.754 0.250 0.453
```

Computed properties:
**Mass density**: 5.07 Mg/m³
**E (MP2020)**: -6.48 eV per atom
**Crystal system**: monoclinic
**Calculated volume**: 17.3 Å³ per atom

=====

Record 4
The following is a PBE calculation of an optimized crystal structure of Nd2Cl2O, from the Materials Project.

```
data_Nd2Cl2O
_cell_length_a 4.258
_cell_length_b 4.258
_cell_length_c 13.191
_cell_angle_alpha 90.00
_cell_angle_beta 90.00
_cell_angle_gamma 90.00
_symmetry_space_group_name_H-M 'P 1'
_symmetry_Int_Tables_number 1
loop_
_symmetry_equiv_pos_as_xyz
'x,y,z'
loop_
_atom_site_label
_atom_site_fract_x
_atom_site_fract_y
_atom_site_fract_z
Nd1 0.000 0.000 0.164
Nd2 0.000 0.000 0.836
Cl1 0.000 0.000 0.358
Cl2 0.000 0.000 0.642
O1 0.000 0.000 0.000
```

Computed properties:
**Mass density**: 2.61 Mg/m³
**E (MP2020)**: -5.01 eV per atom
**Crystal system**: tetragonal
**Calculated volume**: 47.8 Å³ per atom

=====

Record 5
The following is a PBE calculation of an optimized crystal structure of Nd14Cl32O, from the Materials Project.

```
data_Nd14Cl32O
_cell_length_a 12.373
_cell_length_b 12.373
_cell_length_c 12.373
_cell_angle_alpha 57.29
_cell_angle_beta 57.29
_cell_angle_gamma 57.29
_symmetry_space_group_name_H-M 'P 1'
_symmetry_Int_Tables_number 1
loop_
_symmetry_equiv_pos_as_xyz
'x,y,z'
loop_
_atom_site_label
_atom_site_fract_x
_atom_site_fract_y
_atom_site_fract_z
Nd1 0.046 0.835 0.312
Nd2 0.165 0.688 0.954
Nd3 0.236 0.236 0.236
Nd4 0.268 0.484 0.619
Nd5 0.312 0.046 0.835
Nd6 0.381 0.732 0.516
Nd7 0.484 0.619 0.268
Nd8 0.516 0.381 0.732
Nd9 0.619 0.268 0.484
Nd10 0.688 0.954 0.165
Nd11 0.732 0.516 0.381
Nd12 0.764 0.764 0.764
Nd13 0.835 0.312 0.046
Nd14 0.954 0.165 0.688
Cl1 0.034 0.264 0.790
Cl2 0.053 0.485 0.107
Cl3 0.079 0.351 0.437
Cl4 0.089 0.089 0.089
Cl5 0.107 0.053 0.485
Cl6 0.125 0.713 0.718
Cl7 0.210 0.966 0.736
Cl8 0.243 0.572 0.365
Cl9 0.264 0.790 0.034
Cl10 0.282 0.875 0.287
Cl11 0.287 0.282 0.875
Cl12 0.351 0.437 0.079
Cl13 0.365 0.243 0.572
Cl14 0.428 0.635 0.757
Cl15 0.437 0.079 0.351
Cl16 0.485 0.107 0.053
Cl17 0.515 0.893 0.947
Cl18 0.563 0.921 0.649
Cl19 0.572 0.365 0.243
Cl20 0.635 0.757 0.428
Cl21 0.649 0.563 0.921
Cl22 0.713 0.718 0.125
Cl23 0.718 0.125 0.713
Cl24 0.736 0.210 0.966
Cl25 0.757 0.428 0.635
Cl26 0.790 0.034 0.264
Cl27 0.875 0.287 0.282
Cl28 0.893 0.947 0.515
Cl29 0.911 0.911 0.911
Cl30 0.921 0.649 0.563
Cl31 0.947 0.515 0.893
Cl32 0.966 0.736 0.210
O1 0.500 0.500 0.500
```

Computed properties:
**Mass density**: 4.19 Mg/m³
**E (MP2020)**: -4.87 eV per atom
**Crystal system**: trigonal
**Calculated volume**: 26.7 Å³ per atom

=====

Record 6
The following is a PBE calculation of an optimized crystal structure of Nd4PClO8, from the Materials Project.

```
data_Nd4PClO8
_cell_length_a 13.104
_cell_length_b 5.870
_cell_length_c 5.842
_cell_angle_alpha 90.00
_cell_angle_beta 90.00
_cell_angle_gamma 90.00
_symmetry_space_group_name_H-M 'P 1'
_symmetry_Int_Tables_number 1
loop_
_symmetry_equiv_pos_as_xyz
'x,y,z'
loop_
_atom_site_label
_atom_site_fract_x
_atom_site_fract_y
_atom_site_fract_z
Nd1 0.162 0.017 0.000
Nd2 0.168 0.487 0.471
Nd3 0.332 0.513 0.971
Nd4 0.338 0.983 0.500
Nd5 0.662 0.983 0.500
Nd6 0.668 0.513 0.971
Nd7 0.832 0.487 0.471
Nd8 0.838 0.017 0.000
P1 0.000 0.543 0.943
P2 0.500 0.457 0.443
Cl1 0.000 0.053 0.433
Cl2 0.500 0.947 0.933
O1 0.000 0.502 0.679
O2 0.000 0.806 0.983
O3 0.096 0.433 0.054
O4 0.232 0.757 0.738
O5 0.250 0.243 0.732
O6 0.250 0.757 0.232
O7 0.268 0.243 0.238
O8 0.404 0.567 0.554
O9 0.500 0.194 0.483
O10 0.500 0.498 0.179
O11 0.596 0.567 0.554
O12 0.732 0.243 0.238
O13 0.750 0.243 0.732
O14 0.750 0.757 0.232
O15 0.768 0.757 0.738
O16 0.904 0.433 0.054
```

Computed properties:
**Mass density**: 5.70 Mg/m³
**E (MP2020)**: -8.24 eV per atom
**Crystal system**: orthorhombic
**Calculated volume**: 16.1 Å³ per atom

=====

Record 7
The following is a PBE calculation of an optimized crystal structure of NdSn2P10Cl37O12, from the Materials Project.

```
data_NdSn2P10Cl37O12
_cell_length_a 12.644
_cell_length_b 12.710
_cell_length_c 22.420
_cell_angle_alpha 91.35
_cell_angle_beta 95.67
_cell_angle_gamma 92.21
_symmetry_space_group_name_H-M 'P 1'
_symmetry_Int_Tables_number 1
loop_
_symmetry_equiv_pos_as_xyz
'x,y,z'
loop_
_atom_site_label
_atom_site_fract_x
_atom_site_fract_y
_atom_site_fract_z
Nd1 0.116 0.280 0.225
Nd2 0.884 0.720 0.775
Sn1 0.230 0.767 0.918
Sn2 0.364 0.772 0.497
Sn3 0.636 0.228 0.503
Sn4 0.770 0.233 0.082
P1 0.036 0.944 0.865
P2 0.084 0.585 0.192
P3 0.091 0.427 0.387
P4 0.129 0.079 0.358
P5 0.182 0.737 0.762
P6 0.224 0.319 0.067
P7 0.232 0.215 0.648
P8 0.351 0.074 0.203
P9 0.399 0.400 0.286
P10 0.457 0.282 0.854
P11 0.543 0.718 0.146
P12 0.601 0.600 0.714
P13 0.649 0.926 0.797
P14 0.768 0.785 0.352
P15 0.776 0.681 0.933
P16 0.818 0.263 0.238
P17 0.871 0.921 0.642
P18 0.909 0.573 0.613
P19 0.916 0.415 0.808
P20 0.964 0.056 0.135
Cl1 0.005 0.337 0.754
Cl2 0.016 0.109 0.411
Cl3 0.022 0.616 0.110
Cl4 0.033 0.950 0.085
Cl5 0.045 0.606 0.579
Cl6 0.071 0.654 0.892
Cl7 0.098 0.931 0.329
Cl8 0.102 0.035 0.804
Cl9 0.112 0.584 0.395
Cl10 0.145 0.210 0.013
Cl11 0.180 0.136 0.571
Cl12 0.180 0.827 0.496
Cl13 0.200 0.455 0.027
Cl14 0.202 0.767 0.023
Cl15 0.206 0.373 0.444
Cl16 0.223 0.588 0.746
Cl17 0.226 0.659 0.201
Cl18 0.242 0.818 0.696
Cl19 0.258 0.364 0.622
Cl20 0.264 0.081 0.411
Cl21 0.313 0.995 0.125
Cl22 0.317 0.610 0.541
Cl23 0.319 0.351 0.832
Cl24 0.346 0.620 0.918
Cl25 0.347 0.784 0.390
Cl26 0.357 0.963 0.265
Cl27 0.373 0.897 0.933
Cl28 0.377 0.163 0.669
Cl29 0.377 0.294 0.063
Cl30 0.412 0.144 0.887
Cl31 0.420 0.534 0.333
Cl32 0.423 0.913 0.566
Cl33 0.454 0.280 0.507
Cl34 0.468 0.291 0.337
Cl35 0.476 0.634 0.074
Cl36 0.487 0.418 0.217
Cl37 0.498 0.877 0.800
Cl38 0.502 0.123 0.200
Cl39 0.513 0.582 0.783
Cl40 0.524 0.366 0.926
Cl41 0.532 0.709 0.663
Cl42 0.546 0.720 0.493
Cl43 0.577 0.087 0.434
Cl44 0.580 0.466 0.667
Cl45 0.588 0.856 0.113
Cl46 0.623 0.706 0.937
Cl47 0.623 0.837 0.331
Cl48 0.627 0.103 0.067
Cl49 0.643 0.037 0.735
Cl50 0.653 0.216 0.610
Cl51 0.654 0.380 0.082
Cl52 0.681 0.649 0.168
Cl53 0.683 0.390 0.459
Cl54 0.687 0.005 0.875
Cl55 0.736 0.919 0.589
Cl56 0.742 0.636 0.378
Cl57 0.758 0.182 0.304
Cl58 0.774 0.341 0.799
Cl59 0.777 0.412 0.254
Cl60 0.794 0.627 0.556
Cl61 0.798 0.233 0.977
Cl62 0.800 0.545 0.973
Cl63 0.820 0.173 0.504
Cl64 0.820 0.864 0.429
Cl65 0.855 0.790 0.987
Cl66 0.888 0.416 0.605
Cl67 0.898 0.965 0.196
Cl68 0.902 0.069 0.671
Cl69 0.929 0.346 0.108
Cl70 0.955 0.394 0.421
Cl71 0.967 0.050 0.915
Cl72 0.978 0.384 0.890
Cl73 0.984 0.891 0.589
Cl74 0.995 0.663 0.246
O1 0.050 0.127 0.167
O2 0.063 0.740 0.753
O3 0.089 0.471 0.205
O4 0.094 0.385 0.325
O5 0.124 0.899 0.906
O6 0.132 0.155 0.308
O7 0.159 0.206 0.695
O8 0.193 0.318 0.129
O9 0.241 0.779 0.820
O10 0.279 0.159 0.215
O11 0.286 0.373 0.266
O12 0.475 0.727 0.195
O13 0.525 0.273 0.805
O14 0.714 0.627 0.734
O15 0.721 0.841 0.785
O16 0.759 0.221 0.180
O17 0.807 0.682 0.871
O18 0.841 0.794 0.305
O19 0.868 0.845 0.692
O20 0.876 0.101 0.094
O21 0.906 0.615 0.675
O22 0.911 0.529 0.795
O23 0.937 0.260 0.247
O24 0.950 0.873 0.833
```

Computed properties:
**Mass density**: 2.04 Mg/m³
**E (MP2020)**: -4.49 eV per atom
**Crystal system**: triclinic
**Calculated volume**: 28.9 Å³ per atom

=====

Record 8
The following is a PBE calculation of an optimized crystal structure of Nd4S4Cl2O, from the Materials Project.

```
data_Nd4S4Cl2O
_cell_length_a 9.271
_cell_length_b 9.271
_cell_length_c 6.914
_cell_angle_alpha 90.00
_cell_angle_beta 90.00
_cell_angle_gamma 120.84
_symmetry_space_group_name_H-M 'P 1'
_symmetry_Int_Tables_number 1
loop_
_symmetry_equiv_pos_as_xyz
'x,y,z'
loop_
_atom_site_label
_atom_site_fract_x
_atom_site_fract_y
_atom_site_fract_z
Nd1 0.107 0.308 0.527
Nd2 0.180 0.820 0.500
Nd3 0.304 0.696 0.049
Nd4 0.308 0.107 0.027
Nd5 0.692 0.893 0.527
Nd6 0.696 0.304 0.549
Nd7 0.820 0.180 0.000
Nd8 0.893 0.692 0.027
S1 0.032 0.556 0.764
S2 0.039 0.961 0.751
S3 0.365 0.635 0.427
S4 0.444 0.968 0.764
S5 0.556 0.032 0.264
S6 0.635 0.365 0.927
S7 0.961 0.039 0.251
S8 0.968 0.444 0.264
Cl1 0.235 0.366 0.924
Cl2 0.366 0.235 0.424
Cl3 0.634 0.765 0.924
Cl4 0.765 0.634 0.424
O1 0.167 0.833 0.155
O2 0.833 0.167 0.655
```

Computed properties:
**Mass density**: 5.16 Mg/m³
**E (MP2020)**: -6.60 eV per atom
**Crystal system**: orthorhombic
**Calculated volume**: 23.2 Å³ per atom

=====

Record 9
The following is a PBE calculation of an optimized crystal structure of NdSeClO3, from the Materials Project.

```
data_NdSeClO3
_cell_length_a 11.300
_cell_length_b 5.427
_cell_length_c 13.666
_cell_angle_alpha 90.00
_cell_angle_beta 90.00
_cell_angle_gamma 90.00
_symmetry_space_group_name_H-M 'P 1'
_symmetry_Int_Tables_number 1
loop_
_symmetry_equiv_pos_as_xyz
'x,y,z'
loop_
_atom_site_label
_atom_site_fract_x
_atom_site_fract_y
_atom_site_fract_z
Nd1 0.071 0.250 0.100
Nd2 0.072 0.750 0.645
Nd3 0.428 0.250 0.145
Nd4 0.429 0.750 0.600
Nd5 0.571 0.250 0.400
Nd6 0.572 0.750 0.855
Nd7 0.928 0.250 0.355
Nd8 0.929 0.750 0.900
Se1 0.152 0.250 0.816
Se2 0.241 0.750 0.030
Se3 0.259 0.250 0.530
Se4 0.348 0.750 0.316
Se5 0.652 0.250 0.684
Se6 0.741 0.750 0.470
Se7 0.759 0.250 0.970
Se8 0.848 0.750 0.184
Cl1 0.018 0.750 0.432
Cl2 0.167 0.250 0.300
Cl3 0.333 0.750 0.800
Cl4 0.482 0.250 0.932
Cl5 0.518 0.750 0.068
Cl6 0.667 0.250 0.200
Cl7 0.833 0.750 0.700
Cl8 0.982 0.250 0.568
O1 0.057 0.001 0.792
O2 0.057 0.499 0.792
O3 0.086 0.750 0.026
O4 0.158 0.250 0.940
O5 0.243 0.004 0.610
O6 0.243 0.496 0.610
O7 0.257 0.504 0.110
O8 0.257 0.996 0.110
O9 0.342 0.750 0.440
O10 0.414 0.250 0.526
O11 0.443 0.501 0.292
O12 0.443 0.999 0.292
O13 0.557 0.001 0.708
O14 0.557 0.499 0.708
O15 0.586 0.750 0.474
O16 0.658 0.250 0.560
O17 0.743 0.004 0.890
O18 0.743 0.496 0.890
O19 0.757 0.504 0.390
O20 0.757 0.996 0.390
O21 0.842 0.750 0.060
O22 0.914 0.250 0.974
O23 0.943 0.501 0.208
O24 0.943 0.999 0.208
```

Computed properties:
**Mass density**: 4.86 Mg/m³
**E (MP2020)**: -6.49 eV per atom
**Crystal system**: orthorhombic
**Calculated volume**: 17.5 Å³ per atom